Entry 1:
CsNaS | the Materials Project | r²SCAN | optimized geometry; total energy = -13.510 eV per atom; ΔE_f = -369 kJ/mol of formula units
1.0
4.7994 0.0000 0.0000
0.0000 4.7994 0.0000
0.0000 0.0000 7.8770
Na Cs S
2 2 2
direct
0.2500 0.7500 0.0000
0.7500 0.2500 0.0000
0.7500 0.7500 0.3506
0.2500 0.2500 0.6494
0.7500 0.7500 0.8097
0.2500 0.2500 0.1903

***

Entry 2:
Cs6Na4Tl13 | the Materials Project | r²SCAN | optimized geometry; total energy = -37.436 eV per atom; ΔE_f = -463 kJ/mol of formula units
1.0
-5.9737 5.9737 5.9737
5.9737 -5.9737 5.9737
5.9737 5.9737 -5.9737
Na Cs Tl
4 6 13
direct
0.0000 0.0000 0.5000
0.5000 0.0000 0.0000
0.5000 0.5000 0.5000
0.0000 0.5000 0.0000
0.5000 0.1704 0.6704
0.5000 0.8296 0.3296
0.1704 0.6704 0.5000
0.8296 0.3296 0.5000
0.6704 0.5000 0.1704
0.3296 0.5000 0.8296
0.1395 0.2329 0.3723
0.8605 0.2329 0.0934
0.7671 0.9066 0.1395
0.3723 0.1395 0.2329
0.7671 0.6277 0.8605
0.2329 0.0934 0.8605
0.9066 0.1395 0.7671
0.0934 0.8605 0.2329
0.6277 0.8605 0.7671
0.8605 0.7671 0.6277
0.2329 0.3723 0.1395
0.0000 0.0000 0.0000
0.1395 0.7671 0.9066

***

Entry 3:
CsNdO2 | the Materials Project | r²SCAN | optimized geometry; total energy = -19.395 eV per atom; ΔE_f = -1072 kJ/mol of formula units
1.0
-2.3226 -2.7954 -0.5890
0.8436 0.9985 3.4420
-10.6138 8.8091 0.0461
Cs O Nd
2 4 2
direct
0.3333 0.6667 0.7500
0.6667 0.3333 0.2500
0.6667 0.3333 0.5854
0.6667 0.3333 0.9146
0.3333 0.6667 0.0854
0.3333 0.6667 0.4146
0.0000 0.0000 0.0000
0.0000 0.0000 0.5000

***

Entry 4:
CsNdTe2 | the Materials Project | r²SCAN | optimized geometry; total energy = -28.021 eV per atom; ΔE_f = -648 kJ/mol of formula units
1.0
9.0371 -2.3375 -0.0002
9.0371 2.3375 -0.0002
8.4326 0.0000 4.0031
Te Nd Cs
2 1 1
direct
0.7317 0.7317 0.7317
0.2683 0.2683 0.2683
0.0000 0.0000 0.0000
0.5000 0.5000 0.5000

***

Entry 5:
Cs2NiO2 | the Materials Project | r²SCAN | optimized geometry; total energy = -16.133 eV per atom; ΔE_f = -629 kJ/mol of formula units
1.0
-2.2021 2.2021 6.7915
2.2021 -2.2021 6.7915
2.2021 2.2021 -6.7915
O Ni Cs
2 1 2
direct
0.1243 0.1243 0.0000
0.8757 0.8757 0.0000
0.0000 0.0000 0.0000
0.3492 0.3492 0.0000
0.6508 0.6508 0.0000

***

Entry 6:
Cs2NpO4 | the Materials Project | r²SCAN | optimized geometry; total energy = -25.188 eV per atom; ΔE_f = -1851 kJ/mol of formula units
1.0
4.3661 0.0000 0.0000
0.0000 4.3661 -0.0003
-2.1831 -2.1832 7.4559
O Np Cs
4 1 2
direct
0.0000 0.5000 0.0000
0.5000 0.0000 0.0000
0.8721 0.8721 0.7443
0.1279 0.1279 0.2557
0.0000 0.0000 0.0000
0.6558 0.6558 0.3116
0.3442 0.3442 0.6884

***

Entry 7:
Cs3PO4 | the Materials Project | r²SCAN | optimized geometry; total energy = -15.884 eV per atom; ΔE_f = -1819 kJ/mol of formula units
1.0
-4.3114 -3.2565 3.5257
-2.7592 -4.2817 -7.3287
8.2996 -8.8030 2.0183
O Cs P
16 12 4
direct
0.6056 0.2500 0.7782
0.8648 0.3930 0.8936
0.1352 0.6070 0.1064
0.5712 0.2500 0.9830
0.8648 0.1070 0.8936
0.6352 0.1070 0.3936
0.8944 0.2500 0.2782
0.3648 0.6070 0.6064
0.1056 0.7500 0.7218
0.0712 0.7500 0.5170
0.1352 0.8930 0.1064
0.4288 0.7500 0.0170
0.6352 0.3930 0.3936
0.3648 0.8930 0.6064
0.9288 0.2500 0.4830
0.3944 0.7500 0.2218
0.6811 0.4925 0.1452
0.6415 0.7500 0.4228
0.8189 0.4925 0.6452
0.8189 0.0075 0.6452
0.1811 0.5075 0.3548
0.3189 0.9925 0.8548
0.1415 0.2500 0.0772
0.1811 0.9925 0.3548
0.3585 0.2500 0.5772
0.3189 0.5075 0.8548
0.8585 0.7500 0.9228
0.6811 0.0075 0.1452
0.2711 0.7500 0.1130
0.7711 0.2500 0.3870
0.7289 0.2500 0.8870
0.2289 0.7500 0.6130

***

Entry 8:
CsSb2PO8 | the Materials Project | r²SCAN | optimized geometry; total energy = -13.077 eV per atom; ΔE_f = -2279 kJ/mol of formula units
1.0
-2.9125 -3.5174 8.6912
3.3667 -0.0496 9.2225
-5.5923 8.7489 8.9871
P Cs O Sb
4 4 32 8
direct
0.3927 0.3927 0.4961
0.6587 0.6587 0.9378
0.3413 0.3413 0.0622
0.6073 0.6073 0.5039
0.1365 0.1365 0.5855
0.1108 0.1108 0.0725
0.8635 0.8635 0.4145
0.8892 0.8892 0.9275
0.4597 0.1095 0.1041
0.3383 0.3383 0.4394
0.7136 0.3562 0.7603
0.4037 0.4037 0.1061
0.1607 0.1607 0.3114
0.4120 0.8251 0.2296
0.4511 0.8033 0.4320
0.0903 0.4969 0.3080
0.8393 0.8393 0.6886
0.5880 0.1749 0.7704
0.6104 0.6104 0.0645
0.8033 0.4511 0.4320
0.8905 0.5403 0.8959
0.6438 0.2864 0.2397
0.1967 0.5489 0.5680
0.6617 0.6617 0.5606
0.5129 0.5129 0.5928
0.7524 0.7524 0.2240
0.5031 0.9097 0.6920
0.5489 0.1967 0.5680
0.9097 0.5031 0.6920
0.1095 0.4597 0.1041
0.5403 0.8905 0.8959
0.8251 0.4120 0.2296
0.2476 0.2476 0.7760
0.1749 0.5880 0.7704
0.3896 0.3896 0.9355
0.4871 0.4871 0.4072
0.3562 0.7136 0.7603
0.2864 0.6438 0.2397
0.5963 0.5963 0.8939
0.4969 0.0903 0.3080
0.0453 0.5433 0.7307
0.5490 0.5490 0.2362
0.6266 0.6266 0.7297
0.4510 0.4510 0.7638
0.9547 0.4567 0.2693
0.5433 0.0453 0.7307
0.4567 0.9547 0.2693
0.3734 0.3734 0.2703